Density functional theory data (GGA+U) for a relaxed structure of ZnCr2O5.

Unit cell a=3.671 b=5.378 c=11.398 alpha=90.00 beta=90.00 gamma=109.95
Sites, in units of the cell vectors:
1 O 0.766 0.532 0.575
2 O 0.234 0.468 0.075
3 O 0.044 0.088 0.870
4 O 0.044 0.088 0.630
5 O 0.300 0.600 0.750
6 O 0.956 0.912 0.130
7 O 0.956 0.912 0.370
8 O 0.234 0.468 0.425
9 O 0.700 0.400 0.250
10 O 0.766 0.532 0.925
11 Zn 0.903 0.805 0.750
12 Zn 0.097 0.195 0.250
13 Cr 0.792 0.583 0.097
14 Cr 0.208 0.417 0.903
15 Cr 0.208 0.417 0.597
16 Cr 0.792 0.583 0.403

Results
**Polymorph energy (0 for the lowest one)**: 0.000 eV per atom
**Energy of formation**: -14.291 eV/f.u.
**Space-group type**: Cmcm (63)

Density functional theory data (GGA+U) for a relaxed structure of ZnCr2O4.

Unit cell a=2.946 b=9.009 c=10.574 alpha=90.00 beta=90.00 gamma=90.00
Sites, in units of the cell vectors:
1 Zn 0.750 0.260 0.346
2 Zn 0.250 0.740 0.654
3 Zn 0.750 0.760 0.154
4 Zn 0.250 0.240 0.846
5 O 0.750 0.122 0.967
6 O 0.750 0.033 0.213
7 O 0.750 0.703 0.826
8 O 0.250 0.967 0.787
9 O 0.250 0.297 0.174
10 O 0.750 0.910 0.573
11 O 0.750 0.533 0.287
12 O 0.250 0.090 0.427
13 O 0.250 0.590 0.073
14 O 0.750 0.410 0.927
15 O 0.750 0.203 0.674
16 O 0.250 0.467 0.713
17 O 0.250 0.378 0.467
18 O 0.750 0.622 0.533
19 O 0.250 0.797 0.326
20 O 0.250 0.878 0.033
21 Cr 0.250 0.588 0.399
22 Cr 0.250 0.088 0.101
23 Cr 0.750 0.942 0.382
24 Cr 0.250 0.058 0.618
25 Cr 0.250 0.558 0.882
26 Cr 0.750 0.442 0.118
27 Cr 0.750 0.912 0.899
28 Cr 0.750 0.412 0.601

Results
**Polymorph energy (0 for the lowest one)**: 0.187 eV per atom
**Energy of formation**: -14.631 eV/f.u.
**Space-group type**: Pnma (62)

Density functional theory data (GGA+U) for a relaxed structure of ZnCr2O4.

Unit cell a=2.940 b=9.668 c=9.954 alpha=90.00 beta=90.00 gamma=90.00
Sites, in units of the cell vectors:
1 O 0.268 0.518 0.610
2 O 0.732 0.482 0.110
3 O 0.732 0.018 0.610
4 O 0.182 0.711 0.250
5 O 0.728 0.750 0.500
6 O 0.272 0.250 0.500
7 O 0.732 0.482 0.390
8 O 0.268 0.982 0.110
9 O 0.728 0.750 0.000
10 O 0.818 0.289 0.750
11 O 0.268 0.982 0.390
12 O 0.182 0.789 0.750
13 O 0.818 0.211 0.250
14 O 0.732 0.018 0.890
15 O 0.268 0.518 0.890
16 O 0.272 0.250 0.000
17 Zn 0.330 0.354 0.250
18 Zn 0.670 0.646 0.750
19 Zn 0.330 0.146 0.750
20 Zn 0.670 0.854 0.250
21 Cr 0.231 0.883 0.930
22 Cr 0.769 0.117 0.430
23 Cr 0.769 0.383 0.570
24 Cr 0.231 0.883 0.570
25 Cr 0.769 0.383 0.930
26 Cr 0.231 0.617 0.430
27 Cr 0.769 0.117 0.070
28 Cr 0.231 0.617 0.070

Results
**Polymorph energy (0 for the lowest one)**: 0.180 eV per atom
**Energy of formation**: -14.684 eV/f.u.
**Space-group type**: Pbcm (57)

Density functional theory data (GGA+U) for a relaxed structure of Zn2Cr2O5.

Unit cell a=3.760 b=5.345 c=10.255 alpha=90.00 beta=90.00 gamma=90.00
Sites, in units of the cell vectors:
1 O 0.500 0.135 0.814
2 O 0.500 0.635 0.686
3 O 0.000 0.187 0.099
4 O 0.000 0.687 0.401
5 O 0.000 0.813 0.901
6 O 0.500 0.500 0.000
7 O 0.500 0.365 0.314
8 O 0.500 0.000 0.500
9 O 0.500 0.865 0.186
10 O 0.000 0.313 0.599
11 Zn 0.000 0.780 0.099
12 Zn 0.000 0.720 0.599
13 Zn 0.000 0.220 0.901
14 Zn 0.000 0.280 0.401
15 Cr 0.500 0.742 0.365
16 Cr 0.500 0.758 0.865
17 Cr 0.500 0.258 0.635
18 Cr 0.500 0.242 0.135

Results
**Energy of formation**: -15.728 eV/f.u.
**Space-group type**: Pbam (55)

Density functional theory data (GGA+U) for a relaxed structure of ZnCr2O4.

Unit cell a=6.008 b=6.008 c=20.237 alpha=79.35 beta=79.35 gamma=60.17
Sites, in units of the cell vectors:
1 Cr 0.875 0.373 0.374
2 Cr 0.597 0.597 0.220
3 Cr 0.154 0.154 0.531
4 Cr 0.373 0.875 0.374
5 Cr 0.625 0.125 0.625
6 Cr 0.408 0.408 0.780
7 Cr 0.378 0.876 0.876
8 Cr 0.250 0.250 0.251
9 Cr 0.125 0.625 0.625
10 Cr 0.000 0.000 0.002
11 Cr 0.124 0.628 0.125
12 Cr 0.876 0.378 0.876
13 Cr 0.347 0.347 0.971
14 Cr 0.844 0.844 0.467
15 Cr 0.094 0.094 0.719
16 Cr 0.628 0.124 0.125
17 Zn 0.123 0.123 0.125
18 Zn 0.749 0.749 0.751
19 Zn 0.500 0.500 0.499
20 Zn 0.902 0.902 0.281
21 Zn 0.626 0.626 0.624
22 Zn 0.877 0.877 0.875
23 Zn 0.373 0.373 0.374
24 Zn 0.655 0.655 0.030
25 O 0.427 0.427 0.182
26 O 0.795 0.320 0.564
27 O 0.929 0.454 0.686
28 O 0.314 0.314 0.571
29 O 0.170 0.170 0.433
30 O 0.936 0.936 0.679
31 O 0.454 0.929 0.686
32 O 0.203 0.678 0.435
33 O 0.573 0.573 0.317
34 O 0.565 0.051 0.814
35 O 0.431 0.960 0.189
36 O 0.687 0.687 0.929
37 O 0.564 0.564 0.823
38 O 0.822 0.282 0.063
39 O 0.686 0.686 0.427
40 O 0.184 0.711 0.940
41 O 0.051 0.565 0.814
42 O 0.711 0.184 0.940
43 O 0.678 0.203 0.435
44 O 0.282 0.822 0.063
45 O 0.319 0.319 0.069
46 O 0.960 0.431 0.189
47 O 0.074 0.074 0.316
48 O 0.824 0.824 0.067
49 O 0.076 0.528 0.312
50 O 0.528 0.076 0.312
51 O 0.177 0.177 0.934
52 O 0.072 0.072 0.820
53 O 0.425 0.425 0.682
54 O 0.931 0.931 0.180
55 O 0.826 0.826 0.567
56 O 0.320 0.795 0.564

Results
**Polymorph energy (0 for the lowest one)**: 0.209 eV per atom
**Energy of formation**: -14.477 eV/f.u.
**Space-group type**: Cm (8)

Density functional theory data (GGA+U) for a relaxed structure of ZnCrO2.

Unit cell a=2.976 b=8.491 c=8.585 alpha=84.82 beta=80.17 gamma=79.96
Sites, in units of the cell vectors:
1 Zn 0.342 0.075 0.732
2 Zn 0.658 0.925 0.268
3 Zn 0.923 0.277 0.379
4 Zn 0.077 0.723 0.621
5 O 0.169 0.777 0.391
6 O 0.816 0.768 0.098
7 O 0.087 0.108 0.224
8 O 0.378 0.433 0.313
9 O 0.622 0.567 0.687
10 O 0.831 0.223 0.609
11 O 0.913 0.892 0.776
12 O 0.184 0.232 0.902
13 Cr 0.628 0.194 0.053
14 Cr 0.372 0.806 0.947
15 Cr 0.211 0.395 0.679
16 Cr 0.789 0.605 0.321

Results
**Energy of formation**: -6.692 eV/f.u.
**Space-group type**: P-1 (2)

Density functional theory data (GGA+U) for a relaxed structure of ZnCr2O4.

Unit cell a=5.114 b=5.929 c=10.268 alpha=90.00 beta=90.00 gamma=90.00
Sites, in units of the cell vectors:
1 Zn 0.042 0.000 0.000
2 Zn 0.365 0.000 0.500
3 Zn 0.635 0.500 0.000
4 Zn 0.958 0.500 0.500
5 O 0.690 0.500 0.348
6 O 0.834 0.248 0.141
7 O 0.356 0.500 0.144
8 O 0.644 0.000 0.356
9 O 0.356 0.500 0.856
10 O 0.166 0.748 0.359
11 O 0.310 0.000 0.848
12 O 0.166 0.252 0.359
13 O 0.834 0.248 0.859
14 O 0.834 0.752 0.859
15 O 0.834 0.752 0.141
16 O 0.310 0.000 0.152
17 O 0.166 0.252 0.641
18 O 0.166 0.748 0.641
19 O 0.644 0.000 0.644
20 O 0.690 0.500 0.652
21 Cr 0.500 0.250 0.750
22 Cr 0.010 0.500 0.237
23 Cr 0.500 0.750 0.250
24 Cr 0.010 0.500 0.763
25 Cr 0.500 0.250 0.250
26 Cr 0.990 0.000 0.263
27 Cr 0.990 0.000 0.737
28 Cr 0.500 0.750 0.750

Results
**Polymorph energy (0 for the lowest one)**: 0.190 eV per atom
**Energy of formation**: -14.612 eV/f.u.
**Space-group type**: Pmmn (59)

Density functional theory data (GGA+U) for a relaxed structure of ZnCrO2.

Unit cell a=2.975 b=7.795 c=8.489 alpha=79.41 beta=80.46 gamma=80.24
Sites, in units of the cell vectors:
1 Zn 0.219 0.631 0.938
2 Zn 0.613 0.017 0.778
3 Zn 0.803 0.349 0.035
4 Zn 0.409 0.963 0.196
5 Cr 0.448 0.366 0.730
6 Cr 0.575 0.615 0.242
7 Cr 0.180 0.204 0.406
8 Cr 0.844 0.776 0.567
9 O 0.915 0.517 0.658
10 O 0.054 0.788 0.119
11 O 0.115 0.460 0.305
12 O 0.969 0.193 0.854
13 O 0.416 0.782 0.407
14 O 0.231 0.832 0.742
15 O 0.793 0.148 0.231
16 O 0.608 0.197 0.566

Results
**Energy of formation**: -6.597 eV/f.u.
**Space-group type**: P1 (1)

Density functional theory data (GGA+U) for a relaxed structure of ZnCr2O4.

Unit cell a=6.056 b=6.056 c=6.056 alpha=59.39 beta=59.39 gamma=59.39
Sites, in units of the cell vectors:
1 Cr 0.626 0.122 0.626
2 Cr 0.122 0.626 0.626
3 Cr 0.245 0.245 0.245
4 Cr 0.626 0.626 0.122
5 Zn 0.627 0.627 0.627
6 Zn 0.003 0.003 0.003
7 O 0.375 0.852 0.375
8 O 0.871 0.407 0.871
9 O 0.864 0.864 0.864
10 O 0.375 0.375 0.852
11 O 0.386 0.386 0.386
12 O 0.871 0.871 0.407
13 O 0.407 0.871 0.871
14 O 0.852 0.375 0.375

Results
**Polymorph energy (0 for the lowest one)**: 0.150 eV per atom
**Energy of formation**: -14.890 eV/f.u.
**Space-group type**: R3m (160)

Density functional theory data (GGA+U) for a relaxed structure of ZnCr2O4.

Unit cell a=6.005 b=6.005 c=14.823 alpha=90.00 beta=90.00 gamma=120.00
Sites, in units of the cell vectors:
1 Cr 0.168 0.832 0.832
2 Cr 0.999 0.499 0.500
3 Cr 0.835 0.670 0.166
4 Cr 0.665 0.832 0.832
5 Cr 0.333 0.667 0.666
6 Cr 0.330 0.165 0.166
7 Cr 0.501 0.499 0.500
8 Cr 0.501 0.001 0.500
9 Cr 0.835 0.165 0.166
10 Cr 0.667 0.333 0.955
11 Cr 0.168 0.335 0.832
12 Cr 0.333 0.667 0.288
13 O 0.840 0.160 0.908
14 O 0.484 0.516 0.754
15 O 0.667 0.333 0.094
16 O 0.333 0.667 0.905
17 O 0.985 0.492 0.242
18 O 0.333 0.667 0.427
19 O 0.183 0.817 0.580
20 O 0.507 0.015 0.242
21 O 0.183 0.365 0.580
22 O 0.507 0.492 0.242
23 O 0.635 0.817 0.580
24 O 0.357 0.178 0.425
25 O 0.000 0.000 0.239
26 O 0.000 0.000 0.762
27 O 0.320 0.160 0.908
28 O 0.822 0.643 0.425
29 O 0.155 0.309 0.091
30 O 0.840 0.680 0.908
31 O 0.155 0.845 0.091
32 O 0.667 0.333 0.573
33 O 0.484 0.969 0.754
34 O 0.691 0.845 0.091
35 O 0.822 0.178 0.425
36 O 0.031 0.516 0.754
37 Zn 0.000 0.000 0.623
38 Zn 0.000 0.000 0.002
39 Zn 0.333 0.667 0.045
40 Zn 0.667 0.333 0.707
41 Zn 0.000 0.000 0.380
42 Zn 0.667 0.333 0.336

Results
**Polymorph energy (0 for the lowest one)**: 0.102 eV per atom
**Energy of formation**: -15.230 eV/f.u.
**Space-group type**: P3m1 (156)

Density functional theory data (GGA+U) for a relaxed structure of ZnCr3O7.

Unit cell a=5.388 b=9.959 c=10.338 alpha=90.00 beta=90.00 gamma=90.00
Sites, in units of the cell vectors:
1 O 0.225 0.965 0.089
2 O 0.970 0.782 0.617
3 O 0.530 0.282 0.617
4 O 0.949 0.713 0.381
5 O 0.275 0.465 0.411
6 O 0.775 0.035 0.911
7 O 0.815 0.447 0.250
8 O 0.725 0.535 0.589
9 O 0.030 0.218 0.117
10 O 0.970 0.782 0.883
11 O 0.470 0.718 0.117
12 O 0.449 0.787 0.881
13 O 0.685 0.947 0.250
14 O 0.449 0.787 0.619
15 O 0.551 0.213 0.381
16 O 0.470 0.718 0.383
17 O 0.051 0.287 0.619
18 O 0.225 0.965 0.411
19 O 0.051 0.287 0.881
20 O 0.775 0.035 0.589
21 O 0.530 0.282 0.883
22 O 0.275 0.465 0.089
23 O 0.551 0.213 0.119
24 O 0.315 0.053 0.750
25 O 0.030 0.218 0.383
26 O 0.185 0.553 0.750
27 O 0.725 0.535 0.911
28 O 0.949 0.713 0.119
29 Cr 0.703 0.773 0.250
30 Cr 0.792 0.191 0.523
31 Cr 0.208 0.809 0.023
32 Cr 0.203 0.727 0.750
33 Cr 0.292 0.309 0.023
34 Cr 0.797 0.273 0.250
35 Cr 0.708 0.691 0.523
36 Cr 0.208 0.809 0.477
37 Cr 0.792 0.191 0.977
38 Cr 0.297 0.227 0.750
39 Cr 0.292 0.309 0.477
40 Cr 0.708 0.691 0.977
41 Zn 0.636 0.955 0.750
42 Zn 0.136 0.545 0.250
43 Zn 0.364 0.045 0.250
44 Zn 0.864 0.455 0.750

Results
**Energy of formation**: -19.427 eV/f.u.
**Space-group type**: Pnma (62)

Density functional theory data (GGA+U) for a relaxed structure of ZnCr2O5.

Unit cell a=3.427 b=4.825 c=11.738 alpha=89.99 beta=90.00 gamma=89.99
Sites, in units of the cell vectors:
1 O 0.250 0.078 0.357
2 O 0.250 0.593 0.250
3 O 0.250 0.078 0.143
4 O 0.750 0.571 0.072
5 O 0.750 0.407 0.750
6 O 0.750 0.571 0.428
7 O 0.750 0.922 0.857
8 O 0.250 0.429 0.572
9 O 0.250 0.429 0.928
10 O 0.750 0.922 0.643
11 Cr 0.250 0.422 0.399
12 Cr 0.750 0.578 0.899
13 Cr 0.250 0.422 0.101
14 Cr 0.750 0.578 0.601
15 Zn 0.250 0.129 0.750
16 Zn 0.750 0.871 0.250

Results
**Polymorph energy (0 for the lowest one)**: 0.052 eV per atom
**Energy of formation**: -13.877 eV/f.u.
**Space-group type**: Pmmn (59)

Calculated electronic total energy (eV/atom), listed in the same order as above: -6.5205, -6.8918, -6.8994, -6.0956, -6.8698, -6.0320, -6.8891, -6.0082, -6.9289, -6.9774, -6.6796, -6.4687